Density functional theory data (r2SCAN) for a geometry-optimized MgBr2 structure.

Crystal system ... trigonal

abc: 3.8575 3.8575 6.4019
angles: 90.00 90.00 120.00
Space group P-3m1 (No. 164)
Inequivalent atoms, fractional coordinates:
Mg (0.0000, 0.0000, 0.0000) (multiplicity 1)
Br (0.3333, 0.6667, 0.2335) (multiplicity 2)

Density functional theory data (r2SCAN) for a geometry-optimized VO2F structure.

Crystal system ... monoclinic

abc: 8.857 4.973 5.173
angles: 90.00 122.95 90.00
Space group Cc (No. 9)
Inequivalent atoms, fractional coordinates:
V (0.000, 0.234, 0.000) (multiplicity 4)
O (0.294, 0.157, 0.298) (multiplicity 4)
O (0.494, 0.458, 0.792) (multiplicity 4)
F (0.089, 0.460, 0.804) (multiplicity 4)

Density functional theory data (r2SCAN) for a geometry-optimized PrSi2Rh2 structure.

Crystal system ... tetragonal

abc: 4.106 4.106 10.182
angles: 90.00 90.00 90.00
Space group I4/mmm (No. 139)
Inequivalent atoms, fractional coordinates:
Pr (0.000, 0.000, 0.000) (multiplicity 2)
Si (0.000, 0.000, 0.373) (multiplicity 4)
Rh (0.000, 0.500, 0.250) (multiplicity 4)

Density functional theory data (r2SCAN) for a geometry-optimized Hg2Rh structure.

Crystal system ... tetragonal

abc: 4.606 4.606 3.037
angles: 90.00 90.00 90.00
Space group P4/mmm (No. 123)
Inequivalent atoms, fractional coordinates:
Hg (0.000, 0.500, 0.000) (multiplicity 2)
Rh (0.000, 0.000, 0.500) (multiplicity 1)

Number 1: E_tot -11.9467 eV/atom. Number 2: E_tot -9.8750 eV/atom. Number 3: E_tot -20.1837 eV/atom. Number 4: E_tot -40.9739 eV/atom.